(1)
DFT (GGA+U) results for Li7Mn2Co3O12 after structural relaxation.

Output
For the energy of formation, the calculation gives -1.70 eV per atom.

Cell and atoms, written as POSCAR:
```
Li7Mn2Co3O12
1.0
2.955 0.000 0.000
-1.478 2.559 0.000
0.000 0.000 29.017
O Li Co Mn
12 7 3 2
direct
0.000 0.000 0.629
0.333 0.667 0.539
0.667 0.333 0.705
0.000 0.000 0.373
0.000 0.000 0.873
0.000 0.000 0.124
0.333 0.667 0.296
0.333 0.667 0.794
0.667 0.333 0.962
0.667 0.333 0.209
0.667 0.333 0.463
0.333 0.667 0.034
0.667 0.333 0.587
0.667 0.333 0.092
0.333 0.667 0.167
0.000 0.000 0.752
0.333 0.667 0.911
0.000 0.000 0.247
0.333 0.667 0.411
0.667 0.333 0.333
0.667 0.333 0.833
0.333 0.667 0.668
0.000 0.000 0.999
0.000 0.000 0.500
```

=====

(2)
DFT (GGA+U) results for Li7Mn4CoO12 after structural relaxation.

Output
For the energy of formation, the calculation gives -2.04 eV per atom.

Cell and atoms, written as POSCAR:
```
Li7Mn4CoO12
1.0
-1.599 -2.400 0.028
6.247 -4.499 -28.104
4.209 -2.789 1.195
O Li Mn Co
24 14 8 2
direct
0.000 0.957 0.725
0.001 0.536 0.297
0.995 0.289 0.338
0.005 0.210 0.619
0.000 0.627 0.011
0.000 0.787 0.332
0.501 0.037 0.865
0.500 0.462 0.141
0.500 0.795 0.814
0.497 0.380 0.555
0.503 0.203 0.172
0.000 0.708 0.605
0.001 0.039 0.321
0.000 0.879 0.999
0.504 0.130 0.483
0.500 0.701 0.151
0.002 0.129 0.027
0.995 0.382 0.010
0.501 0.537 0.843
0.500 0.871 0.518
0.498 0.291 0.818
0.500 0.628 0.469
0.500 0.964 0.182
0.001 0.457 0.708
0.502 0.162 0.836
0.000 0.918 0.352
0.000 0.751 0.986
0.501 0.004 0.511
0.501 0.505 0.493
0.998 0.249 0.981
0.502 0.084 0.170
0.500 0.834 0.168
0.000 0.588 0.685
0.997 0.416 0.355
0.001 0.083 0.663
0.500 0.663 0.822
0.493 0.326 0.146
0.500 0.583 0.164
0.004 0.163 0.311
0.498 0.417 0.848
0.500 0.917 0.855
0.000 0.662 0.295
0.001 0.004 0.039
0.001 0.503 0.009
0.500 0.250 0.491
0.500 0.749 0.479
0.000 0.833 0.667
0.998 0.333 0.672
```

=====

Per-record M_tot, μB/f.u.: 20.6, 0.3
Per-record total energy after the MP2020 corrections, Ry per atom: -0.4688, -0.5066
Per-record electronic total energy, eV/atom: -5.692, -6.204